The following is a DFT calculation (meta-GGA r2SCAN) of Tb2Ti2O7 after structural relaxation.

Values from the calculation:
* symmetry: No. 227
* volume: 11.8 Å³/atom
* DFT total energy: -340.87 eV/cell
* energy relative to the elements: -3664 meV/atom

a = 7.1584 Å, b = 7.1584 Å, c = 7.1584 Å
α = 60.00°, β = 60.00°, γ = 60.00°
Element x y z (fractional)
Tb  0.0000  0.0000  0.0000
Tb  0.0000  0.0000  0.5000
Tb  0.0000  0.5000  0.0000
Tb  0.5000  0.0000  0.0000
Ti  0.0000  0.5000  0.5000
Ti  0.5000  0.0000  0.5000
Ti  0.5000  0.5000  0.0000
Ti  0.5000  0.5000  0.5000
O  0.1250  0.1250  0.1250
O  0.1705  0.1705  0.5795
O  0.1705  0.5795  0.1705
O  0.1705  0.5795  0.5795
O  0.4205  0.4205  0.8295
O  0.4205  0.8295  0.4205
O  0.4205  0.8295  0.8295
O  0.5795  0.1705  0.1705
O  0.5795  0.1705  0.5795
O  0.5795  0.5795  0.1705
O  0.8295  0.4205  0.4205
O  0.8295  0.4205  0.8295
O  0.8295  0.8295  0.4205
O  0.8750  0.8750  0.8750

=====

The following is a DFT calculation (meta-GGA r2SCAN) of Re3As7 after structural relaxation.

Values from the calculation:
* symmetry: No. 229
* volume: 17.0 Å³/atom
* DFT total energy: -522.07 eV/cell
* energy relative to the elements: -85 meV/atom

a = 7.6212 Å, b = 7.6212 Å, c = 7.6212 Å
α = 109.47°, β = 109.47°, γ = 109.47°
Element x y z (fractional)
Re  0.0000  0.3403  0.3403
Re  0.0000  0.6597  0.6597
Re  0.3403  0.0000  0.3403
Re  0.3403  0.3403  0.0000
Re  0.6597  0.0000  0.6597
Re  0.6597  0.6597  0.0000
As  0.0000  0.0000  0.3319
As  0.0000  0.0000  0.6681
As  0.0000  0.3319  0.0000
As  0.0000  0.6681  0.0000
As  0.2500  0.5000  0.7500
As  0.2500  0.7500  0.5000
As  0.3319  0.0000  0.0000
As  0.3319  0.3319  0.3319
As  0.5000  0.2500  0.7500
As  0.5000  0.7500  0.2500
As  0.6681  0.0000  0.0000
As  0.6681  0.6681  0.6681
As  0.7500  0.2500  0.5000
As  0.7500  0.5000  0.2500

=====

The following is a DFT calculation (meta-GGA r2SCAN) of InPd2 after structural relaxation.

Values from the calculation:
* symmetry: No. 62
* volume: 16.6 Å³/atom
* DFT total energy: -280.62 eV/cell
* energy relative to the elements: -552 meV/atom

a = 5.6864 Å, b = 4.2206 Å, c = 8.3061 Å
α = 90.00°, β = 90.00°, γ = 90.00°
Element x y z (fractional)
In  0.1754  0.2500  0.0995
In  0.3246  0.7500  0.5995
In  0.6754  0.2500  0.4005
In  0.8246  0.7500  0.9005
Pd  0.0715  0.2500  0.7690
Pd  0.1553  0.2500  0.4273
Pd  0.3447  0.7500  0.9273
Pd  0.4285  0.7500  0.2690
Pd  0.5715  0.2500  0.7310
Pd  0.6553  0.2500  0.0727
Pd  0.8447  0.7500  0.5727
Pd  0.9285  0.7500  0.2310